VASP calculation (PBE with a Hubbard U) on ZrW2O8 after structural relaxation.

## Properties
Formation enthalpy at 0 K ... -2.57 eV/atom

a b c (Å): 9.002 9.301 27.564
angles (deg): 90.00 90.00 90.00
Sites, in units of the cell vectors:
Zr  0.727  0.777  0.576
Zr  0.232  0.757  0.746
Zr  0.177  0.712  0.078
Zr  0.773  0.223  0.076
Zr  0.268  0.243  0.246
Zr  0.823  0.212  0.422
Zr  0.677  0.788  0.922
Zr  0.227  0.723  0.424
Zr  0.732  0.743  0.254
Zr  0.273  0.277  0.924
Zr  0.768  0.257  0.754
Zr  0.323  0.288  0.578
W  0.225  0.120  0.378
W  0.586  0.900  0.375
W  0.961  0.102  0.552
W  0.775  0.620  0.122
W  0.648  0.856  0.716
W  0.852  0.144  0.216
W  0.414  0.400  0.125
W  0.039  0.602  0.948
W  0.086  0.600  0.625
W  0.310  0.876  0.554
W  0.914  0.100  0.875
W  0.117  0.126  0.685
W  0.461  0.398  0.448
W  0.383  0.874  0.185
W  0.690  0.376  0.946
W  0.883  0.626  0.815
W  0.352  0.356  0.784
W  0.810  0.624  0.446
W  0.617  0.374  0.315
W  0.725  0.380  0.622
W  0.275  0.880  0.878
W  0.190  0.124  0.054
W  0.148  0.644  0.284
W  0.539  0.898  0.052
O  0.718  0.293  0.006
O  0.300  0.523  0.433
O  0.948  0.459  0.638
O  0.256  0.765  0.247
O  0.800  0.977  0.567
O  0.823  0.258  0.581
O  0.597  0.543  0.459
O  0.735  0.722  0.395
O  0.097  0.643  0.010
O  0.195  0.671  0.347
O  0.013  0.068  0.632
O  0.640  0.851  0.313
O  0.327  0.046  0.213
O  0.173  0.954  0.713
O  0.552  0.541  0.138
O  0.964  0.685  0.108
O  0.677  0.742  0.081
O  0.817  0.956  0.233
O  0.177  0.758  0.919
O  0.282  0.793  0.494
O  0.966  0.217  0.718
O  0.903  0.143  0.490
O  0.452  0.808  0.724
O  0.536  0.315  0.608
O  0.191  0.938  0.400
O  0.228  0.493  0.593
O  0.288  0.851  0.812
O  0.858  0.432  0.436
O  0.052  0.959  0.862
O  0.358  0.068  0.564
O  0.448  0.041  0.362
O  0.691  0.562  0.600
O  0.827  0.454  0.787
O  0.548  0.286  0.094
O  0.036  0.185  0.392
O  0.695  0.829  0.653
O  0.048  0.214  0.906
O  0.242  0.773  0.151
O  0.758  0.273  0.349
O  0.464  0.815  0.892
O  0.218  0.207  0.994
O  0.142  0.932  0.064
O  0.212  0.149  0.312
O  0.993  0.186  0.060
O  0.466  0.283  0.282
O  0.265  0.222  0.105
O  0.673  0.546  0.287
O  0.788  0.649  0.188
O  0.700  0.023  0.067
O  0.110  0.241  0.557
O  0.683  0.044  0.733
O  0.007  0.686  0.440
O  0.809  0.438  0.100
O  0.610  0.259  0.443
O  0.034  0.717  0.782
O  0.097  0.957  0.541
O  0.305  0.329  0.847
O  0.048  0.192  0.224
O  0.805  0.171  0.153
O  0.235  0.778  0.605
O  0.360  0.351  0.187
O  0.903  0.457  0.959
O  0.493  0.314  0.940
O  0.317  0.544  0.767
O  0.534  0.783  0.218
O  0.244  0.235  0.747
O  0.183  0.456  0.267
O  0.140  0.649  0.687
O  0.756  0.735  0.753
O  0.772  0.993  0.907
O  0.403  0.357  0.510
O  0.597  0.857  0.990
O  0.323  0.242  0.419
O  0.452  0.786  0.406
O  0.200  0.477  0.933
O  0.548  0.308  0.776
O  0.987  0.568  0.868
O  0.642  0.568  0.936
O  0.744  0.265  0.253
O  0.258  0.227  0.651
O  0.728  0.007  0.407
O  0.390  0.759  0.057
O  0.507  0.814  0.560
O  0.765  0.278  0.895
O  0.309  0.062  0.900
O  0.403  0.043  0.041
O  0.952  0.714  0.594
O  0.487  0.932  0.132
O  0.513  0.432  0.368
O  0.890  0.741  0.943
O  0.742  0.727  0.849
O  0.952  0.692  0.276
O  0.860  0.149  0.813
O  0.272  0.507  0.093
O  0.712  0.351  0.688
O  0.782  0.707  0.506



VASP calculation (PBE with a Hubbard U) on ZrW2O11 after structural relaxation.

## Properties
Formation enthalpy at 0 K ... -1.62 eV/atom

a b c (Å): 10.397 10.397 10.397
angles (deg): 111.85 111.85 104.81
Sites, in units of the cell vectors:
Zr  0.506  0.006  0.500
Zr  0.756  0.756  0.000
Zr  0.006  0.506  0.500
Zr  0.256  0.256  0.000
W  0.146  0.013  0.201
W  0.811  0.944  0.799
W  0.694  0.396  0.633
W  0.311  0.513  0.867
W  0.763  0.061  0.367
W  0.646  0.444  0.133
W  0.263  0.896  0.701
W  0.194  0.561  0.299
O  0.366  0.968  0.602
O  0.366  0.764  0.398
O  0.514  0.616  0.898
O  0.866  0.468  0.602
O  0.718  0.616  0.102
O  0.866  0.264  0.398
O  0.218  0.116  0.102
O  0.014  0.116  0.898
O  0.000  0.833  0.180
O  0.653  0.819  0.820
O  0.569  0.250  0.666
O  0.153  0.333  0.834
O  0.583  0.903  0.334
O  0.500  0.319  0.166
O  0.083  0.750  0.680
O  0.069  0.403  0.320
O  0.260  0.080  0.819
O  0.261  0.441  0.181
O  0.191  0.510  0.680
O  0.761  0.580  0.820
O  0.830  0.511  0.320
O  0.760  0.941  0.180
O  0.330  0.010  0.319
O  0.691  0.011  0.681
O  0.182  0.682  0.500
O  0.432  0.432  0.000
O  0.682  0.182  0.500
O  0.932  0.932  0.000
O  0.283  0.290  0.693
O  0.597  0.590  0.307
O  0.340  0.533  0.493
O  0.097  0.790  0.007
O  0.040  0.847  0.507
O  0.783  0.090  0.993
O  0.540  0.033  0.193
O  0.840  0.347  0.807
O  0.145  0.161  0.354
O  0.807  0.790  0.646
O  0.540  0.395  0.484
O  0.307  0.661  0.016
O  0.911  0.057  0.516
O  0.645  0.290  0.984
O  0.411  0.895  0.854
O  0.040  0.557  0.146